The following is a PBE-GGA calculation of a relaxed structure of SmYFe6, from Materials Project.

Cell lengths 5.1543, 5.1543, 49.2673 Å; angles 90.00, 90.00, 120.00 degrees
Space group R3m (No. 160, hexagonal axes)
Symmetry-distinct sites (fractional):
Sm  0.0000  0.0000  0.0000 (multiplicity 3)
Sm  0.0000  0.0000  0.1421 (multiplicity 3)
Sm  0.0000  0.0000  0.6420 (multiplicity 3)
Y  0.0000  0.0000  0.0711 (multiplicity 3)
Y  0.0000  0.0000  0.5001 (multiplicity 3)
Y  0.0000  0.0000  0.5708 (multiplicity 3)
Fe  0.0000  0.0000  0.2372 (multiplicity 3)
Fe  0.0000  0.0000  0.3210 (multiplicity 3)
Fe  0.0000  0.0000  0.4049 (multiplicity 3)
Fe  0.0000  0.0000  0.7374 (multiplicity 3)
Fe  0.0000  0.0000  0.8212 (multiplicity 3)
Fe  0.0000  0.0000  0.9046 (multiplicity 3)
Fe  0.0001  0.5001  0.5307 (multiplicity 9)
Fe  0.0015  0.5008  0.0311 (multiplicity 9)
Fe  0.1672  0.3344  0.4447 (multiplicity 9)
Fe  0.1674  0.3348  0.9443 (multiplicity 9)

As for the total energy: -7.782 eV/atom. The value obtained for the calculated formation energy is -0.0318 eV/atom. The value obtained for the theoretical density is 7.57 g/cm³.